This record from the Materials Project describes a geometry-optimized SrAlH5 structure. The functional is GGA-PBE.

Cell lengths 4.508, 5.200, 12.679 Å; angles 90.00, 90.00, 90.00 degrees
Sites, in units of the cell vectors:
Sr 0.286 0.146 0.658
H 0.018 0.134 0.004
Sr 0.714 0.646 0.842
H 0.695 0.110 0.157
Sr 0.786 0.354 0.342
Al 0.321 0.133 0.915
H 0.305 0.610 0.343
H 0.195 0.390 0.843
H 0.482 0.866 0.504
Al 0.179 0.867 0.415
H 0.832 0.413 0.672
H 0.124 0.364 0.171
Al 0.679 0.633 0.585
H 0.668 0.587 0.172
H 0.472 0.891 0.987
H 0.168 0.913 0.828
H 0.876 0.864 0.329
H 0.332 0.087 0.328
H 0.805 0.890 0.657
H 0.028 0.109 0.487
H 0.376 0.636 0.671
H 0.972 0.609 0.013
H 0.528 0.391 0.513
H 0.624 0.136 0.829
H 0.518 0.366 0.996
Sr 0.214 0.854 0.158
Al 0.821 0.367 0.085
H 0.982 0.634 0.496

## Properties
The value obtained for the largest piezoelectric modulus is 0.22 C/m2. The value obtained for the MP2020-corrected energy is -3.64 eV per atom. Its energy of formation is -437 meV per atom. The energy is -98.26 eV per cell.

***

This record from the Materials Project describes a geometry-optimized P2S structure. The functional is GGA-PBE.

Cell lengths 5.121, 5.121, 5.121 Å; angles 102.23, 102.23, 125.20 degrees
Sites, in units of the cell vectors:
S 0.750 0.250 0.500
P 0.125 0.875 0.750
P 0.625 0.875 0.750
P 0.125 0.375 0.250
P 0.125 0.875 0.250
S 0.500 0.500 0.000

## Properties
The value obtained for the MP2020-corrected energy is -4.91 eV per atom. Its energy of formation is 77 meV per atom. The energy is -28.46 eV per cell. The calculation puts the magnetic moment at 0.00 μB/f.u.

***

This record from the Materials Project describes a geometry-optimized BeH structure. The functional is GGA-PBE.

Cell lengths 2.297, 2.297, 5.369 Å; angles 90.00, 90.00, 120.00 degrees
Sites, in units of the cell vectors:
H 0.333 0.667 0.343
H 0.667 0.333 0.843
Be 0.667 0.333 0.532
Be 0.333 0.667 0.032

## Properties
The value obtained for the MP2020-corrected energy is -3.16 eV per atom. Its energy of formation is 410 meV per atom. The energy is -12.27 eV per cell. The calculation puts the magnetic moment at 0.00 μB/f.u.

***

> Number 1 is which compound?

SrAlH5

***

> The highest energy belongs to which entry?

BeH